DFT (PBE) results for a relaxed SrAl2Cl8 crystal.

POSCAR file:
```
SrAl2Cl8
1.0
-5.1184 9.8273 7.4317
-7.4887 6.9242 -8.6011
-0.1725 -13.1228 2.4017
Al Cl Sr
8 32 4
Direct
0.1250 0.8381 0.2131
0.5881 0.8750 0.2131
0.1619 0.3750 0.2869
0.0881 0.8750 0.7131
0.6250 0.9119 0.7869
0.1250 0.3381 0.7131
0.6619 0.3750 0.7869
0.6250 0.4119 0.2869
0.2518 0.5174 0.5426
0.6064 0.7894 0.3162
0.2767 0.9598 0.8162
0.7106 0.8936 0.6838
0.9733 0.2894 0.1831
0.1064 0.7902 0.8169
0.2909 0.7482 0.2656
0.2098 0.0267 0.3162
0.1436 0.4606 0.1838
0.2674 0.2247 0.7656
0.7909 0.5253 0.5426
0.7753 0.5409 0.0426
0.0402 0.8564 0.3169
0.7518 0.2091 0.7344
0.4982 0.7326 0.9574
0.9747 0.7091 0.4574
0.4826 0.0253 0.7344
0.4591 0.5018 0.2344
0.2753 0.2326 0.2344
0.2106 0.5267 0.8169
0.7767 0.9606 0.3169
0.9982 0.0409 0.7656
0.4747 0.0174 0.2656
0.5402 0.2233 0.1838
0.9591 0.7247 0.9574
0.4733 0.2902 0.6838
0.6436 0.4598 0.6831
0.0394 0.3564 0.8162
0.5394 0.7233 0.6831
0.9826 0.2482 0.4574
0.7098 0.3936 0.1831
0.7674 0.0018 0.0426
0.7500 0.7500 0.0000
0.0000 0.5000 0.5000
0.5000 0.0000 0.5000
0.2500 0.2500 0.0000
```

Uncorrected energy in eV/atom: -4.003
Space-group type: I4_1/acd, No. 142
Total moment in Bohr magnetons per cell: 0.00

=====

DFT (PBE) results for a relaxed SrAl2Cl8 crystal.

POSCAR file:
```
SrAl2Cl8
1.0
-3.6928 -3.2763 -10.5214
-8.5462 -6.3417 4.9743
-12.5331 16.3475 -0.6916
Cl Al Sr
64 16 8
Direct
0.0930 0.1104 0.9823
0.5070 0.4883 0.3389
0.2965 0.3963 0.7607
0.1651 0.7241 0.0806
0.2035 0.3963 0.2607
0.7035 0.6037 0.2393
0.7035 0.1037 0.2607
0.7965 0.1037 0.7607
0.0035 0.5964 0.3288
0.4930 0.5117 0.6611
0.3984 0.1623 0.2900
0.9070 0.3896 0.4823
0.8984 0.8377 0.2100
0.2041 0.7384 0.9082
0.4070 0.6104 0.0177
0.3349 0.7241 0.5806
0.6016 0.3377 0.7900
0.1385 0.4156 0.9988
0.4930 0.0117 0.8389
0.8615 0.5844 0.0012
0.0035 0.0964 0.1712
0.0930 0.6104 0.5177
0.2965 0.8963 0.7393
0.9930 0.4883 0.8389
0.0070 0.5117 0.1611
0.9965 0.4036 0.6712
0.3984 0.6623 0.2100
0.2959 0.2384 0.0918
0.8349 0.2759 0.9194
0.3349 0.2241 0.9194
0.5035 0.9036 0.3288
0.6651 0.2759 0.4194
0.6651 0.7759 0.0806
0.3615 0.9156 0.0012
0.7041 0.2616 0.5918
0.7041 0.7616 0.9082
0.4965 0.5964 0.8288
0.5930 0.8896 0.5177
0.5930 0.3896 0.9823
0.8984 0.3377 0.2900
0.2959 0.7384 0.4082
0.4965 0.0964 0.6712
0.9070 0.8896 0.0177
0.1385 0.9156 0.5012
0.0070 0.0117 0.3389
0.3615 0.4156 0.4988
0.1651 0.2241 0.4194
0.7959 0.7616 0.4082
0.2041 0.2384 0.5918
0.9965 0.9036 0.8288
0.5035 0.4036 0.1712
0.6016 0.8377 0.7100
0.7965 0.6037 0.7393
0.6385 0.5844 0.5012
0.7959 0.2616 0.0918
0.8349 0.7759 0.5806
0.1016 0.6623 0.7100
0.6385 0.0844 0.9988
0.2035 0.8963 0.2393
0.5070 0.9883 0.1611
0.1016 0.1623 0.7900
0.4070 0.1104 0.4823
0.8615 0.0844 0.4988
0.9930 0.9883 0.6611
0.2140 0.2475 0.9977
0.5284 0.0411 0.2607
0.9716 0.0411 0.7607
0.2860 0.7475 0.0023
0.9716 0.5411 0.7393
0.7140 0.7525 0.5023
0.0284 0.9589 0.2393
0.5284 0.5411 0.2393
0.4716 0.4589 0.7607
0.2140 0.7475 0.5023
0.2860 0.2475 0.4977
0.0284 0.4589 0.2607
0.7140 0.2525 0.9977
0.4716 0.9589 0.7393
0.7860 0.2525 0.4977
0.7860 0.7525 0.0023
0.2634 0.4918 0.1246
0.2366 0.9918 0.8754
0.2634 0.9918 0.3754
0.7634 0.0082 0.1246
0.7634 0.5082 0.3754
0.7366 0.0082 0.6246
0.2366 0.4918 0.6246
0.7366 0.5082 0.8754
```

Uncorrected energy in eV/atom: -4.005
Space-group type: Pbca, No. 61
Total moment in Bohr magnetons per cell: 0.00

=====

DFT (PBE) results for a relaxed SrAl2Cl8 crystal.

POSCAR file:
```
SrAl2Cl8
1.0
7.1079 0.0000 0.0000
0.0000 7.3953 0.0000
0.0000 1.0270 12.8986
Al Cl Sr
4 16 2
Direct
0.7372 0.3160 0.4211
0.7372 0.6840 0.0789
0.2628 0.6840 0.5789
0.2628 0.3160 0.9211
0.6950 0.2559 0.5854
0.1802 0.5956 0.8866
0.5214 0.2521 0.8458
0.9678 0.8359 0.1364
0.5214 0.7479 0.6542
0.4786 0.7479 0.1542
0.0322 0.8359 0.6364
0.6950 0.7441 0.9146
0.9678 0.1641 0.3636
0.0322 0.1641 0.8636
0.8198 0.5956 0.3866
0.1802 0.4044 0.6134
0.3050 0.7441 0.4146
0.4786 0.2521 0.3458
0.3050 0.2559 0.0854
0.8198 0.4044 0.1134
0.8441 0.5000 0.7500
0.1559 0.5000 0.2500
```

Uncorrected energy in eV/atom: -3.996
Space-group type: P2/c, No. 13

=====

DFT (PBE) results for a relaxed AlTeCl7 crystal.

POSCAR file:
```
AlTeCl7
1.0
6.7943 0.0000 0.0000
-1.0256 8.7245 0.0000
-1.7136 -1.5070 20.2192
Al Cl Te
4 28 4
Direct
0.7228 0.3363 0.8785
0.3089 0.1095 0.3983
0.6911 0.8905 0.6017
0.2772 0.6637 0.1215
0.4032 0.9434 0.6308
0.3700 0.2922 0.4781
0.6859 0.1399 0.8111
0.1394 0.2238 0.7221
0.6300 0.7078 0.5219
0.4167 0.1704 0.0588
0.8749 0.0717 0.1165
0.1635 0.9076 0.4398
0.9013 0.5222 0.3987
0.1251 0.9283 0.8835
0.1388 0.1851 0.3176
0.8612 0.8149 0.6824
0.8365 0.0924 0.5602
0.5661 0.6031 0.0958
0.4339 0.3969 0.9042
0.8921 0.2923 0.9699
0.1221 0.4675 0.1644
0.1079 0.7077 0.0301
0.3141 0.8601 0.1889
0.4425 0.6173 0.3449
0.5575 0.3827 0.6551
0.8606 0.7762 0.2779
0.8779 0.5325 0.8356
0.3664 0.6966 0.7847
0.0987 0.4778 0.6013
0.5833 0.8296 0.9412
0.5968 0.0566 0.3692
0.6336 0.3034 0.2153
0.7221 0.2955 0.1072
0.7550 0.7475 0.3830
0.2450 0.2525 0.6170
0.2779 0.7045 0.8928
```

Uncorrected energy in eV/atom: -3.227
Space-group type: P-1, No. 2

=====

DFT (PBE) results for a relaxed AlTeCl7 crystal.

POSCAR file:
```
AlTeCl7
1.0
-1.0703 12.8356 -0.9584
-3.7986 0.0996 5.5763
9.1563 1.5824 10.9679
Cl Te Al
28 4 4
Direct
0.8977 0.5725 0.5861
0.6023 0.5725 0.0861
0.1465 0.8182 0.8731
0.8439 0.1087 0.4780
0.5967 0.4779 0.3392
0.1255 0.3721 0.7139
0.9074 0.0567 0.7346
0.3977 0.4275 0.9139
0.3745 0.3721 0.2139
0.6465 0.1818 0.6269
0.5926 0.0567 0.2346
0.6255 0.6279 0.7861
0.4074 0.9433 0.7654
0.1023 0.4275 0.4139
0.8646 0.7902 0.0150
0.3535 0.8182 0.3731
0.4033 0.5221 0.6608
0.8535 0.1818 0.1269
0.1561 0.8913 0.5220
0.0967 0.5221 0.1608
0.8745 0.6279 0.2861
0.3439 0.8913 0.0220
0.6561 0.1087 0.9780
0.3646 0.2098 0.4850
0.0926 0.9433 0.2654
0.1354 0.2098 0.9850
0.9033 0.4779 0.8392
0.6354 0.7902 0.5150
0.2519 0.0883 0.8893
0.7519 0.9117 0.6107
0.7481 0.9117 0.1107
0.2481 0.0883 0.3893
0.5428 0.3728 0.2217
0.9572 0.3728 0.7217
0.4572 0.6272 0.7783
0.0428 0.6272 0.2783
```

Uncorrected energy in eV/atom: -3.227
Space-group type: P2_1/c, No. 14

=====

DFT (PBE) results for a relaxed TiAl2Cl8 crystal.

POSCAR file:
```
TiAl2Cl8
1.0
4.0262 8.9388 0.0000
-4.0262 8.9388 0.0000
0.0000 7.4290 9.2456
Al Cl Ti
4 16 2
Direct
0.6677 0.1568 0.0320
0.3323 0.8432 0.9680
0.8432 0.3323 0.4680
0.1568 0.6677 0.5320
0.8309 0.2858 0.8263
0.3131 0.8544 0.7868
0.1691 0.7142 0.1737
0.7142 0.1691 0.6737
0.3772 0.3039 0.0523
0.6228 0.6961 0.9477
0.1456 0.6869 0.7132
0.2858 0.8309 0.3263
0.6869 0.1456 0.2132
0.1667 0.1307 0.9833
0.1307 0.1667 0.4833
0.3039 0.3772 0.5523
0.8333 0.8693 0.0167
0.6961 0.6228 0.4477
0.8693 0.8333 0.5167
0.8544 0.3131 0.2868
0.0025 0.9975 0.7500
0.9975 0.0025 0.2500
```

Uncorrected energy in eV/atom: -4.216
Space-group type: C2/c, No. 15
Total moment in Bohr magnetons per cell: 4.00

=====

DFT (PBE) results for a relaxed TiAl2Cl8 crystal.

POSCAR file:
```
TiAl2Cl8
1.0
-2.7705 7.2448 1.1227
-4.1512 -2.1809 3.8296
8.4307 1.4633 11.3623
Cl Ti Al
16 2 4
Direct
0.2742 0.7405 0.5799
0.0276 0.2925 0.6662
0.2258 0.7405 0.0799
0.7742 0.2595 0.9201
0.7534 0.7467 0.0523
0.4724 0.2925 0.1662
0.2466 0.2533 0.9477
0.7258 0.2595 0.4201
0.7466 0.7467 0.5523
0.0173 0.2241 0.1466
0.9827 0.7759 0.8534
0.5276 0.7075 0.8338
0.2534 0.2533 0.4477
0.4827 0.2241 0.6466
0.9724 0.7075 0.3338
0.5173 0.7759 0.3534
0.0000 0.0000 0.0000
0.5000 0.0000 0.5000
0.7506 0.6217 0.4109
0.2494 0.3783 0.5891
0.2506 0.3783 0.0891
0.7494 0.6217 0.9109
```

Uncorrected energy in eV/atom: -4.217
Space-group type: P2_1/c, No. 14
Total moment in Bohr magnetons per cell: 4.00

=====

DFT (PBE) results for a relaxed Al2VCl8 crystal.

POSCAR file:
```
Al2VCl8
1.0
-3.9623 -3.3157 -8.2908
3.6684 -0.5469 -9.0374
3.0929 -9.9552 -5.3078
Cl Al V
16 4 2
Direct
0.1431 0.6954 0.2137
0.1574 0.7188 0.6775
0.2812 0.8426 0.8225
0.1706 0.1244 0.4884
0.3841 0.3076 0.5508
0.3076 0.3841 0.0508
0.3046 0.8569 0.2863
0.8756 0.8294 0.0116
0.8569 0.3046 0.7863
0.6924 0.6159 0.9492
0.8426 0.2812 0.3225
0.8294 0.8756 0.5116
0.6954 0.1431 0.7137
0.6159 0.6924 0.4492
0.1244 0.1706 0.9884
0.7188 0.1574 0.1775
0.6731 0.1584 0.5303
0.1584 0.6731 0.0303
0.8416 0.3269 0.9697
0.3269 0.8416 0.4697
0.0021 0.9979 0.7500
0.9979 0.0021 0.2500
```

Uncorrected energy in eV/atom: -4.276
Space-group type: C2/c, No. 15

=====

DFT (PBE) results for a relaxed YAl3Cl12 crystal.

POSCAR file:
```
YAl3Cl12
1.0
-10.1782 0.9555 -3.4444
5.3920 -9.2065 -1.5941
-5.2875 -5.5361 14.0888
Cl Al Y
36 9 3
Direct
0.1599 0.4960 0.8711
0.5040 0.6639 0.2044
0.7909 0.5924 0.2793
0.6608 0.1642 0.5178
0.2236 0.3467 0.2788
0.8358 0.4966 0.8512
0.7909 0.1985 0.7207
0.8015 0.2091 0.9460
0.1607 0.1659 0.8772
0.6533 0.8769 0.6122
0.8015 0.5924 0.0540
0.3361 0.8401 0.5377
0.2236 0.8769 0.7212
0.0052 0.8393 0.5439
0.8358 0.3392 0.1488
0.5034 0.1642 0.8155
0.1231 0.7764 0.9455
0.8341 0.8393 0.7894
0.3361 0.4960 0.4622
0.5106 0.5381 0.7109
0.6533 0.7764 0.3878
0.0276 0.4894 0.3775
0.5106 0.9724 0.2891
0.1607 0.9948 0.1228
0.5034 0.3392 0.1845
0.1599 0.6639 0.1289
0.1231 0.3467 0.0545
0.6608 0.4966 0.4822
0.4076 0.2091 0.3874
0.4619 0.9724 0.0442
0.4619 0.4894 0.9558
0.5040 0.8401 0.7956
0.0052 0.1659 0.4561
0.0276 0.5381 0.6225
0.8341 0.9948 0.2106
0.4076 0.1985 0.6126
0.2394 0.3655 0.9358
0.7322 0.4643 0.1667
0.7322 0.2678 0.8333
0.1261 0.7606 0.6025
0.6345 0.8739 0.2691
0.6345 0.7606 0.7309
0.2394 0.8739 0.0642
0.5357 0.2678 0.5000
0.1261 0.3655 0.3975
0.5035 0.4965 0.3333
0.9930 0.4965 0.0000
0.5035 0.0070 0.6667
```

Uncorrected energy in eV/atom: -4.204
Space-group type: P3_112, No. 151